A plane-wave DFT calculation with PBE was carried out for a geometry-optimized Cs3LaCl6 structure. Values from VASP.

Computed properties:
- Space group: C2/c
- ΔE to the lowest computed polymorph: 0 meV/atom
- Formation energy: -2.551 eV per atom
- MP2020-corrected energy: -4.4227 eV per atom

Geometry as Quantum ESPRESSO input:
```
&SYSTEM
  ibrav = 0, nat = 40, ntyp = 3
/
ATOMIC_SPECIES
Cs 132.91 Cs.upf
La 138.91 La.upf
Cl 35.45 Cl.upf
ATOMIC_POSITIONS angstrom
Cs -8.029 -13.678 0.241
Cs 0.110 -10.158 -1.654
Cs -5.057 -22.406 3.644
Cs -4.587 -21.800 -0.995
Cs -2.275 -17.970 3.071
Cs 3.083 -18.886 1.749
Cs -0.295 -19.530 -1.459
Cs -0.359 -10.764 2.985
Cs -2.671 -14.593 -1.081
Cs -7.121 -17.465 4.864
Cs 2.175 -15.098 -2.874
Cs -4.651 -13.034 3.449
La 1.303 -14.826 2.207
La -4.889 -9.595 -0.382
La -6.249 -17.738 -0.217
La 2.416 -6.686 1.377
Cl -8.368 -14.167 3.681
Cl -2.857 -11.282 0.601
Cl -2.956 -3.329 1.464
Cl -4.795 -24.752 0.883
Cl -2.089 -21.282 1.389
Cl -9.031 -6.222 3.024
Cl -10.045 -10.436 4.006
Cl 5.099 -22.128 -2.016
Cl -8.800 -17.261 0.740
Cl 1.710 -21.853 0.484
Cl -3.689 -18.214 -1.149
Cl -6.069 -19.663 1.812
Cl 1.123 -12.901 0.178
Cl -1.990 -29.234 0.526
Cl -0.595 -25.016 0.574
Cl 4.085 -26.341 -1.035
Cl 0.123 -16.768 0.567
Cl 3.854 -15.302 1.250
Cl 3.422 -18.396 -1.692
Cl -1.258 -14.349 3.139
Cl -5.069 -15.795 1.422
Cl -0.151 -7.812 1.106
Cl -6.656 -10.710 1.506
Cl -4.351 -7.548 1.416
CELL_PARAMETERS angstrom
1.912 -13.411 -5.124
4.832 -13.373 2.754
-11.690 -5.780 4.360
```

***

A plane-wave DFT calculation with PBE was carried out for a geometry-optimized Cs2LaCl5 structure. Values from VASP.

Computed properties:
- Space group: Pnma
- Formation energy: -2.620 eV per atom
- MP2020-corrected energy: -4.6164 eV per atom

Geometry as Quantum ESPRESSO input:
```
&SYSTEM
  ibrav = 0, nat = 32, ntyp = 3
/
ATOMIC_SPECIES
Cs 132.91 Cs.upf
La 138.91 La.upf
Cl 35.45 Cl.upf
ATOMIC_POSITIONS angstrom
Cs 8.247 0.059 11.754
Cs 0.454 9.222 2.437
Cs 3.897 9.222 9.532
Cs 0.454 4.700 2.437
Cs 4.804 0.059 4.659
Cs 8.247 4.581 11.754
Cs 4.804 4.581 4.659
Cs 3.897 4.700 9.532
La 8.129 6.961 7.128
La 0.572 2.320 7.062
La 3.779 2.320 14.158
La 4.923 6.961 0.033
Cl 0.976 6.961 9.472
Cl 7.725 2.320 4.718
Cl 5.327 2.320 11.814
Cl 3.374 6.961 2.377
Cl 7.357 0.362 8.090
Cl 1.344 8.919 6.100
Cl 3.007 8.919 13.195
Cl 1.344 5.002 6.100
Cl 5.695 0.362 0.995
Cl 7.357 4.279 8.090
Cl 5.695 4.279 0.995
Cl 3.007 5.002 13.195
Cl 5.283 6.961 7.263
Cl 3.418 2.320 6.927
Cl 0.933 2.320 14.022
Cl 7.768 6.961 0.168
Cl 5.672 6.961 11.493
Cl 3.029 2.320 2.698
Cl 1.321 2.320 9.793
Cl 7.380 6.961 4.397
CELL_PARAMETERS angstrom
8.701 0.000 0.000
0.000 9.281 0.000
0.000 0.000 14.190
```

***

A plane-wave DFT calculation with PBE was carried out for a geometry-optimized Cs2LiLaCl6 structure. Values from VASP.

Computed properties:
- Space group: Fm-3m
- Formation energy: -2.507 eV per atom
- MP2020-corrected energy: -4.4793 eV per atom

Geometry as Quantum ESPRESSO input:
```
&SYSTEM
  ibrav = 0, nat = 10, ntyp = 4
/
ATOMIC_SPECIES
Cs 132.91 Cs.upf
Li 6.94 Li.upf
La 138.91 La.upf
Cl 35.45 Cl.upf
ATOMIC_POSITIONS angstrom
Cs -11.401 -6.276 -5.429
Cs -3.800 -2.092 -1.810
Li -7.601 -4.184 -3.619
La 0.000 0.000 0.000
Cl -5.388 -5.424 -2.863
Cl -6.149 -2.335 -4.836
Cl -9.813 -2.943 -4.375
Cl -7.558 -2.752 -1.393
Cl -7.643 -5.616 -5.845
Cl -9.052 -6.032 -2.402
CELL_PARAMETERS angstrom
-3.063 -6.727 -2.069
-7.514 -1.247 0.945
-4.623 -0.393 -6.114
```

***

A plane-wave DFT calculation with PBE was carried out for a geometry-optimized Cs2NaLaCl6 structure. Values from VASP.

Computed properties:
- Space group: Fm-3m
- Formation energy: -2.514 eV per atom
- MP2020-corrected energy: -4.4283 eV per atom

Geometry as Quantum ESPRESSO input:
```
&SYSTEM
  ibrav = 0, nat = 10, ntyp = 4
/
ATOMIC_SPECIES
Cs 132.91 Cs.upf
Na 22.99 Na.upf
La 138.91 La.upf
Cl 35.45 Cl.upf
ATOMIC_POSITIONS angstrom
Cs -2.790 -2.790 -2.790
Cs -8.369 -8.369 -8.369
Na -5.580 -5.580 -5.580
La 0.000 0.000 0.000
Cl -8.383 -5.580 -5.580
Cl -5.580 -5.580 -8.383
Cl -2.776 -5.580 -5.580
Cl -5.580 -8.383 -5.580
Cl -5.580 -2.776 -5.580
Cl -5.580 -5.580 -2.776
CELL_PARAMETERS angstrom
-5.580 -5.580 0.000
-5.580 0.000 -5.580
0.000 -5.580 -5.580
```